Arrangement i

Below is MgTe2Mo3WSe4S2 after structural relaxation, with properties calculated at the GGA-PBE level.

Calculated values
Calculated volume ... 433.1 Å³/f.u.

a b c (Å): 3.343 3.343 44.750
angles (deg): 90.00 90.00 120.00
Element x y z (fractional)
Mg1 0.000 0.000 0.000
Te1 0.667 0.333 0.497
Te2 0.667 0.333 0.582
Mo1 0.333 0.667 0.540
Mo2 0.333 0.667 0.910
Mo3 0.667 0.333 0.729
W1 0.667 0.333 0.111
Se1 0.333 0.667 0.073
Se2 0.333 0.667 0.148
Se3 0.333 0.667 0.691
Se4 0.333 0.667 0.766
S1 0.667 0.333 0.877
S2 0.667 0.333 0.945

Arrangement ii

Below is MgTe2Mo3WSe4S2 after structural relaxation, with properties calculated at the GGA-PBE level.

Calculated values
Calculated volume ... 429.1 Å³/f.u.

a b c (Å): 3.348 3.348 44.213
angles (deg): 90.00 90.00 120.00
Element x y z (fractional)
Mg1 0.000 0.000 0.000
Te1 0.333 0.667 0.244
Te2 0.333 0.667 0.330
Mo1 0.333 0.667 0.104
Mo2 0.333 0.667 0.723
Mo3 0.667 0.333 0.905
W1 0.667 0.333 0.287
Se1 0.667 0.333 0.066
Se2 0.667 0.333 0.141
Se3 0.667 0.333 0.685
Se4 0.667 0.333 0.760
S1 0.333 0.667 0.871
S2 0.333 0.667 0.940

Arrangement iii

Below is MgTe2Mo3WSe4S2 after structural relaxation, with properties calculated at the GGA-PBE level.

Calculated values
Calculated volume ... 367.3 Å³/f.u.

a b c (Å): 3.338 3.338 38.068
angles (deg): 90.00 90.00 119.99
Element x y z (fractional)
Mg1 0.000 0.000 0.000
Te1 0.993 0.029 0.176
Te2 0.993 0.029 0.276
Mo1 0.659 0.362 0.226
Mo2 0.659 0.362 0.602
Mo3 0.992 0.029 0.414
W1 0.992 0.029 0.789
Se1 0.659 0.362 0.370
Se2 0.659 0.362 0.458
Se3 0.659 0.362 0.745
Se4 0.659 0.362 0.834
S1 0.993 0.029 0.562
S2 0.993 0.029 0.641

Which structure loses on stability? arrangement iii does.

Arrangement i

Below is MgTe2Mo3WSe4S2 after structural relaxation, with properties calculated at the GGA-PBE level.

Calculated values
Calculated volume ... 427.5 Å³/f.u.

a b c (Å): 3.344 3.344 44.141
angles (deg): 90.03 90.03 60.00
Element x y z (fractional)
Mg1 0.000 0.000 0.000
Te1 0.667 0.667 0.248
Te2 0.667 0.667 0.334
Mo1 0.333 0.333 0.291
Mo2 0.334 0.334 0.910
Mo3 0.667 0.667 0.108
W1 0.667 0.667 0.727
Se1 0.333 0.333 0.070
Se2 0.334 0.334 0.146
Se3 0.334 0.334 0.689
Se4 0.334 0.334 0.765
S1 0.667 0.667 0.876
S2 0.667 0.667 0.945

Arrangement ii

Below is MgTe2Mo3WSe4S2 after structural relaxation, with properties calculated at the GGA-PBE level.

Calculated values
Calculated volume ... 435.9 Å³/f.u.

a b c (Å): 3.337 3.337 45.205
angles (deg): 90.00 90.00 120.00
Element x y z (fractional)
Mg1 0.000 0.000 0.000
Te1 0.333 0.667 0.241
Te2 0.333 0.667 0.325
Mo1 0.333 0.667 0.719
Mo2 0.667 0.333 0.283
Mo3 0.667 0.333 0.901
W1 0.333 0.667 0.103
Se1 0.333 0.667 0.864
Se2 0.333 0.667 0.938
Se3 0.667 0.333 0.682
Se4 0.667 0.333 0.756
S1 0.667 0.333 0.069
S2 0.667 0.333 0.136

Arrangement iii

Below is MgTe2Mo3WSe4S2 after structural relaxation, with properties calculated at the GGA-PBE level.

Calculated values
Calculated volume ... 430.7 Å³/f.u.

a b c (Å): 3.347 3.347 44.407
angles (deg): 90.08 90.08 60.00
Element x y z (fractional)
Mg1 0.000 0.000 0.000
Te1 0.667 0.667 0.495
Te2 0.668 0.668 0.581
Mo1 0.334 0.334 0.909
Mo2 0.667 0.667 0.109
Mo3 0.667 0.667 0.727
W1 0.334 0.334 0.538
Se1 0.333 0.333 0.071
Se2 0.334 0.334 0.146
Se3 0.334 0.334 0.690
Se4 0.334 0.334 0.765
S1 0.667 0.667 0.875
S2 0.668 0.668 0.944

Which structure loses on stability? arrangement iii does.

Arrangement i

Below is MgTe2Mo3WSe4S2 after structural relaxation, with properties calculated at the GGA-PBE level.

Calculated values
Calculated volume ... 431.7 Å³/f.u.

a b c (Å): 3.342 3.342 44.630
angles (deg): 90.00 90.00 120.00
Element x y z (fractional)
Mg1 0.000 0.000 0.000
Te1 0.333 0.667 0.229
Te2 0.333 0.667 0.314
Mo1 0.333 0.667 0.089
Mo2 0.333 0.667 0.708
Mo3 0.667 0.333 0.271
W1 0.667 0.333 0.888
Se1 0.333 0.667 0.851
Se2 0.333 0.667 0.926
Se3 0.667 0.333 0.670
Se4 0.667 0.333 0.745
S1 0.667 0.333 0.054
S2 0.667 0.333 0.123

Arrangement ii

Below is MgTe2Mo3WSe4S2 after structural relaxation, with properties calculated at the GGA-PBE level.

Calculated values
Calculated volume ... 429.4 Å³/f.u.

a b c (Å): 3.338 3.338 44.505
angles (deg): 90.00 90.00 120.00
Element x y z (fractional)
Mg1 0.000 0.000 0.000
Te1 0.333 0.667 0.427
Te2 0.333 0.667 0.512
Mo1 0.333 0.667 0.899
Mo2 0.667 0.333 0.100
Mo3 0.667 0.333 0.470
W1 0.333 0.667 0.282
Se1 0.333 0.667 0.062
Se2 0.333 0.667 0.138
Se3 0.667 0.333 0.862
Se4 0.667 0.333 0.937
S1 0.667 0.333 0.247
S2 0.667 0.333 0.316

Arrangement iii

Below is MgTe2Mo3WSe4S2 after structural relaxation, with properties calculated at the GGA-PBE level.

Calculated values
Calculated volume ... 366.8 Å³/f.u.

a b c (Å): 3.336 3.336 38.053
angles (deg): 90.00 90.00 120.00
Element x y z (fractional)
Mg1 0.000 0.000 0.000
Te1 0.410 0.742 0.725
Te2 0.410 0.742 0.825
Mo1 0.076 0.075 0.399
Mo2 0.076 0.075 0.775
Mo3 0.410 0.742 0.587
W1 0.410 0.742 0.211
Se1 0.077 0.076 0.167
Se2 0.077 0.076 0.255
Se3 0.410 0.742 0.355
Se4 0.410 0.742 0.443
S1 0.077 0.076 0.547
S2 0.077 0.076 0.627

Arrangement iv

Below is MgTe2Mo3WSe4S2 after structural relaxation, with properties calculated at the GGA-PBE level.

Calculated values
Calculated volume ... 367.6 Å³/f.u.

a b c (Å): 3.337 3.337 38.121
angles (deg): 90.00 90.00 60.00
Element x y z (fractional)
Mg1 0.000 0.000 0.000
Te1 0.327 0.327 0.178
Te2 0.327 0.327 0.278
Mo1 0.327 0.327 0.416
Mo2 0.327 0.327 0.792
Mo3 0.661 0.661 0.604
W1 0.661 0.661 0.228
Se1 0.661 0.661 0.372
Se2 0.661 0.661 0.460
Se3 0.661 0.661 0.748
Se4 0.661 0.661 0.835
S1 0.327 0.327 0.564
S2 0.327 0.327 0.643

Which structure loses on stability? arrangement iv does.

Arrangement i

Below is MgTe2Mo3WSe4S2 after structural relaxation, with properties calculated at the GGA-PBE level.

Calculated values
Calculated volume ... 445.4 Å³/f.u.

a b c (Å): 3.342 3.342 46.051
angles (deg): 90.00 90.01 120.00
Element x y z (fractional)
Mg1 0.000 0.000 0.000
Te1 0.334 0.666 0.070
Te2 0.334 0.667 0.152
Mo1 0.335 0.667 0.908
Mo2 0.668 0.333 0.111
Mo3 0.668 0.333 0.728
W1 0.334 0.667 0.540
Se1 0.334 0.667 0.692
Se2 0.335 0.667 0.765
Se3 0.667 0.333 0.504
Se4 0.668 0.334 0.577
S1 0.668 0.333 0.876
S2 0.668 0.333 0.942

Arrangement ii

Below is MgTe2Mo3WSe4S2 after structural relaxation, with properties calculated at the GGA-PBE level.

Calculated values
Calculated volume ... 449.8 Å³/f.u.

a b c (Å): 3.336 3.336 46.677
angles (deg): 90.00 90.00 120.00
Element x y z (fractional)
Mg1 0.000 0.000 0.000
Te1 0.333 0.667 0.063
Te2 0.333 0.667 0.144
Mo1 0.333 0.667 0.534
Mo2 0.667 0.333 0.104
Mo3 0.667 0.333 0.722
W1 0.333 0.667 0.900
Se1 0.333 0.667 0.686
Se2 0.333 0.667 0.757
Se3 0.667 0.333 0.498
Se4 0.667 0.333 0.569
S1 0.667 0.333 0.867
S2 0.667 0.333 0.932

Which structure loses on stability? arrangement i does.